# 1
Material: HoSbRh
Method: DFT, r²SCAN
State: relaxed

Summary:
calculated volume: 20.91 Å³/atom
theoretical density: 10.31 Mg/m³
crystal system: orthorhombic
energy of formation: -3.32 eV per formula unit
VASP energy: -28.6812 eV/atom

abc: 4.538 7.117 7.772
angles: 90.00 90.00 90.00
Positions (direct):
Rh1 0.250 0.805 0.919
Rh2 0.250 0.305 0.581
Rh3 0.750 0.695 0.419
Rh4 0.750 0.195 0.081
Sb1 0.250 0.196 0.908
Sb2 0.750 0.804 0.092
Sb3 0.750 0.304 0.408
Sb4 0.250 0.696 0.592
Ho1 0.250 0.010 0.297
Ho2 0.750 0.990 0.703
Ho3 0.250 0.510 0.203
Ho4 0.750 0.490 0.797

# 2
Material: HoSi2Rh2
Method: DFT, r²SCAN
State: relaxed

Summary:
calculated volume: 16.11 Å³/atom
theoretical density: 8.80 Mg/m³
crystal system: tetragonal
energy of formation: -5.97 eV per formula unit
VASP energy: -20.9340 eV/atom

abc: 4.029 4.029 5.722
angles: 110.62 110.62 90.00
Positions (direct):
Rh1 0.250 0.750 0.500
Rh2 0.750 0.250 0.500
Si1 0.622 0.622 0.243
Si2 0.378 0.378 0.757
Ho1 0.000 0.000 0.000

Repeat the first record exactly.
Material: HoSbRh
Method: DFT, r²SCAN
State: relaxed

Summary:
calculated volume: 20.91 Å³/atom
theoretical density: 10.31 Mg/m³
crystal system: orthorhombic
energy of formation: -3.32 eV per formula unit
VASP energy: -28.6812 eV/atom

abc: 4.538 7.117 7.772
angles: 90.00 90.00 90.00
Positions (direct):
Rh1 0.250 0.805 0.919
Rh2 0.250 0.305 0.581
Rh3 0.750 0.695 0.419
Rh4 0.750 0.195 0.081
Sb1 0.250 0.196 0.908
Sb2 0.750 0.804 0.092
Sb3 0.750 0.304 0.408
Sb4 0.250 0.696 0.592
Ho1 0.250 0.010 0.297
Ho2 0.750 0.990 0.703
Ho3 0.250 0.510 0.203
Ho4 0.750 0.490 0.797